Record 1
Density functional theory data (PBE) for a geometry-optimized Ba4La2Ti3Nb2O18 structure.

The structure in CIF format:
```
data_Ba4La2Ti3Nb2O18
_chemical_formula_sum 'Ba12 La6 Ti9 Nb6 O54'
_cell_length_a 5.7270
_cell_length_b 5.7270
_cell_length_c 42.2011
_cell_angle_alpha 90.00
_cell_angle_beta 90.00
_cell_angle_gamma 120.00
_space_group_name_H-M_alt 'R -3 m'
_space_group_IT_number 166
_space_group_name_Hall '-R 3 2"'
loop_
_atom_site_label
_atom_site_type_symbol
_atom_site_fract_x
_atom_site_fract_y
_atom_site_fract_z
Ba1 Ba 0.0000 0.0000 0.1397
Ba2 Ba 0.0000 0.0000 0.3119
La1 La 0.0000 0.0000 0.4147
Ti1 Ti 0.0000 0.0000 0.2216
Ti2 Ti 0.0000 0.0000 0.5000
Nb1 Nb 0.0000 0.0000 0.0539
O1 O 0.0043 0.5022 0.4196
O2 O 0.0068 0.5034 0.1386
O3 O 0.0105 0.5053 0.2994
```

Output
- calculated formation energy (kJ/mol of atoms) = -334.3

Record 2
Density functional theory data (PBE) for a geometry-optimized Ba3La3Ti4NbO18 structure.

The structure in CIF format:
```
data_Ba3La3Ti4NbO18
_chemical_formula_sum 'Ba9 La9 Ti12 Nb3 O54'
_cell_length_a 5.6841
_cell_length_b 5.6841
_cell_length_c 41.3772
_cell_angle_alpha 90.00
_cell_angle_beta 90.00
_cell_angle_gamma 120.00
_space_group_name_H-M_alt 'R 3 m'
_space_group_IT_number 160
_space_group_name_Hall 'R 3 -2"'
loop_
_atom_site_label
_atom_site_type_symbol
_atom_site_fract_x
_atom_site_fract_y
_atom_site_fract_z
Ba1 Ba 0.0000 0.0000 0.0000
Ba2 Ba 0.0000 0.0000 0.1741
Ba3 Ba 0.0000 0.0000 0.7282
La1 La 0.0000 0.0000 0.4515
La2 La 0.0000 0.0000 0.6274
La3 La 0.0000 0.0000 0.9026
Ti1 Ti 0.0000 0.0000 0.0904
Ti2 Ti 0.0000 0.0000 0.2599
Ti3 Ti 0.0000 0.0000 0.5369
Ti4 Ti 0.0000 0.0000 0.8142
Nb1 Nb 0.0000 0.0000 0.3633
O1 O 0.0035 0.5017 0.1717
O2 O 0.0053 0.5027 0.6130
O3 O 0.1672 0.3345 0.7850
O4 O 0.1682 0.3363 0.3399
O5 O 0.1692 0.3384 0.0648
O6 O 0.1698 0.3395 0.2277
```

Output
- calculated formation energy (kJ/mol of atoms) = -341.5

We obtain density values of 6.003 6.029 g cm⁻³ for the records listed above, in that order.
We obtain calculated volume values of 1198.7 1157.8 Å³/cell for the records listed above, in that order.